This record from Materials Project describes crystalline SmP5O14 at its relaxed geometry. The functional is r2SCAN.

Output
The value obtained for the electronic total energy is -10.486 eV per atom. The space group is No. 14. The crystal system is monoclinic.

abc: 8.9442 8.7633 12.9752
angles: 89.63 90.00 90.00
Positions (direct):
P1 0.5040 0.5057 0.2969
P2 0.4960 0.4943 0.7031
O1 0.3775 0.9207 0.6142
O2 0.4073 0.7786 0.8895
O3 0.9183 0.7089 0.0005
O4 0.1225 0.9207 0.1142
P3 0.0040 0.4943 0.2031
O5 0.8826 0.4135 0.8510
O6 0.6877 0.7908 0.0901
O7 0.1869 0.4682 0.4963
O8 0.4183 0.2911 0.4995
O9 0.9047 0.6228 0.7250
O10 0.9241 0.5963 0.2892
O11 0.4047 0.3772 0.7750
P4 0.9981 0.0047 0.8277
P5 0.5488 0.7577 0.8350
O12 0.1166 0.5877 0.8502
P6 0.7444 0.6850 0.4999
O13 0.0759 0.4037 0.7108
O14 0.8079 0.7798 0.4019
O15 0.6174 0.4135 0.3510
P7 0.5517 0.7708 0.1641
Sm1 0.8085 0.2774 0.0009
O16 0.6921 0.7798 0.9019
O17 0.3123 0.2092 0.9099
P8 0.4981 0.9953 0.6723
O18 0.9053 0.2306 0.3856
O19 0.3830 0.9169 0.3792
O20 0.3079 0.2202 0.0981
O21 0.0811 0.1286 0.7547
O22 0.0822 0.0965 0.2598
P9 0.0019 0.9953 0.1723
P10 0.7556 0.6850 0.9999
O23 0.9178 0.9035 0.7402
O24 0.8123 0.7908 0.5901
O25 0.0953 0.3772 0.2750
Sm2 0.6915 0.2774 0.5009
O26 0.5811 0.8714 0.7453
P11 0.5019 0.0047 0.3277
O27 0.3131 0.4682 0.9963
O28 0.3834 0.5877 0.3502
O29 0.5947 0.2306 0.8856
O30 0.8775 0.0793 0.8858
P12 0.2556 0.3150 0.5001
P13 0.0488 0.2423 0.6650
O31 0.3826 0.5865 0.6490
P14 0.9960 0.5057 0.7969
O32 0.8830 0.0831 0.1208
O33 0.4178 0.0965 0.7598
O34 0.6170 0.0831 0.6208
O35 0.9189 0.8714 0.2453
O36 0.5817 0.7089 0.5005
P15 0.9512 0.7577 0.3350
P16 0.9483 0.7708 0.6641
O37 0.6869 0.5318 0.0037
O38 0.0817 0.2911 0.9995
O39 0.1921 0.2202 0.5981
O40 0.4053 0.7694 0.1144
O41 0.4241 0.4037 0.2108
O42 0.9073 0.2214 0.6105
O43 0.0927 0.7786 0.3895
O44 0.5759 0.5963 0.7892
P17 0.4512 0.2423 0.1650
P18 0.4483 0.2292 0.8359
Sm3 0.3085 0.7226 0.4991
O45 0.8131 0.5318 0.5037
O46 0.6225 0.0793 0.3858
O47 0.1877 0.2092 0.4099
O48 0.5927 0.2214 0.1105
O49 0.8834 0.4123 0.1498
O50 0.5953 0.6228 0.2250
O51 0.1170 0.9169 0.8792
P19 0.2444 0.3150 0.0001
O52 0.4189 0.1286 0.2547
O53 0.1174 0.5865 0.1490
O54 0.5822 0.9035 0.2402
P20 0.0517 0.2292 0.3359
O55 0.0947 0.7694 0.6144
Sm4 0.1915 0.7226 0.9991
O56 0.6166 0.4123 0.6498


This record from Materials Project describes crystalline Sn5P2O10 at its relaxed geometry. The functional is r2SCAN.

Output
The value obtained for the electronic total energy is -13.723 eV per atom. The space group is No. 2. The crystal system is triclinic.

abc: 7.1707 7.2012 12.9184
angles: 88.00 85.96 61.70
Positions (direct):
Sn1 0.0655 0.7619 0.8704
O1 0.7776 0.1156 0.6231
P1 0.0597 0.8039 0.3949
O2 0.1056 0.6281 0.3172
O3 0.0806 0.7089 0.5063
P2 0.9403 0.1961 0.6051
O4 0.9353 0.2972 0.2868
O5 0.8911 0.0882 0.8516
Sn2 0.0077 0.3030 0.8353
Sn3 0.6702 0.3117 0.3766
O6 0.9194 0.2911 0.4937
Sn4 0.9345 0.2381 0.1296
O7 0.6870 0.5246 0.8873
Sn5 0.8026 0.8035 0.6210
O8 0.4130 0.8504 0.9824
O9 0.3130 0.4754 0.1127
O10 0.8297 0.9773 0.3870
Sn6 0.9923 0.6970 0.1647
O11 0.6460 0.8800 0.8333
Sn7 0.1974 0.1965 0.3790
Sn8 0.3298 0.6883 0.6234
O12 0.8944 0.3719 0.6828
O13 0.1089 0.9118 0.1484
P3 0.4725 0.2403 0.1224
O14 0.3540 0.1200 0.1667
O15 0.5870 0.1496 0.0176
O16 0.0647 0.7028 0.7132
O17 0.6470 0.2127 0.1952
P4 0.5275 0.7597 0.8776
O18 0.3530 0.7873 0.8048
O19 0.1703 0.0227 0.6130
Sn9 0.5608 0.2203 0.8568
O20 0.2224 0.8844 0.3769
Sn10 0.4392 0.7797 0.1432


This record from Materials Project describes crystalline SnP2O7 at its relaxed geometry. The functional is r2SCAN.

Output
The energy above the most stable polymorph in this dataset comes out at 0.0024 eV/atom. The space group is No. 14. The crystal system is monoclinic.

abc: 5.1162 8.7119 13.5554
angles: 64.65 90.00 90.00
Positions (direct):
P1 0.2425 0.8131 0.6188
O1 0.4578 0.1861 0.9131
P2 0.7575 0.1869 0.3812
O2 0.1741 0.9827 0.1139
O3 0.3108 0.4838 0.9336
O4 0.7214 0.3212 0.2586
O5 0.0388 0.2868 0.1341
Sn1 0.2471 0.2334 0.5266
O6 0.5668 0.2131 0.1233
O7 0.4160 0.7447 0.5572
O8 0.2214 0.6788 0.2414
P3 0.7564 0.3350 0.1389
O9 0.8108 0.5162 0.5664
O10 0.4612 0.2868 0.6341
P4 0.7425 0.1869 0.8812
O11 0.7786 0.3212 0.7586
O12 0.0422 0.1861 0.4131
P5 0.7436 0.3350 0.6389
O13 0.3259 0.9827 0.6139
O14 0.1892 0.4838 0.4336
O15 0.5840 0.2553 0.4428
O16 0.4332 0.7869 0.8767
O17 0.6892 0.5162 0.0664
P6 0.2575 0.8131 0.1188
Sn2 0.2529 0.2334 0.0266
O18 0.9612 0.7132 0.8659
P7 0.2564 0.6650 0.3611
O19 0.9578 0.8139 0.5869
O20 0.0840 0.7447 0.0572
O21 0.8259 0.0173 0.8861
O22 0.5388 0.7132 0.3659
P8 0.2436 0.6650 0.8611
Sn3 0.7471 0.7666 0.9734
O23 0.2786 0.6788 0.7414
O24 0.9160 0.2553 0.9428
Sn4 0.7529 0.7666 0.4734
O25 0.0668 0.7869 0.3767
O26 0.9332 0.2131 0.6233
O27 0.5422 0.8139 0.0869
O28 0.6741 0.0173 0.3861


This record from Materials Project describes crystalline Sn2P2O7 at its relaxed geometry. The functional is r2SCAN.

Output
The energy above the most stable polymorph in this dataset comes out at 0.0125 eV/atom. The space group is No. 14. The crystal system is monoclinic.

abc: 9.6553 5.1879 7.3604
angles: 65.21 90.00 90.00
Positions (direct):
O1 0.9613 0.1054 0.2971
O2 0.7693 0.9174 0.1690
O3 0.4613 0.8946 0.2029
P1 0.6084 0.1178 0.6075
Sn1 0.6181 0.6471 0.1343
O4 0.5387 0.1054 0.7971
Sn2 0.8819 0.6471 0.6343
O5 0.5000 0.0000 0.5000
O6 0.1450 0.5832 0.0375
P2 0.1084 0.8822 0.8925
Sn3 0.1181 0.3529 0.3657
Sn4 0.3819 0.3529 0.8657
O7 0.7307 0.9174 0.6690
O8 0.3550 0.5832 0.5375
O9 0.8550 0.4168 0.9625
O10 0.0387 0.8946 0.7029
O11 0.0000 0.0000 0.0000
P3 0.3916 0.8822 0.3925
O12 0.2307 0.0826 0.8310
P4 0.8916 0.1178 0.1075
O13 0.2693 0.0826 0.3310
O14 0.6450 0.4168 0.4625


This record from Materials Project describes crystalline SnP2O7 at its relaxed geometry. The functional is r2SCAN.

Output
The energy above the most stable polymorph in this dataset comes out at 0.0042 eV/atom. The space group is No. 14. The crystal system is monoclinic.

abc: 5.2166 8.1888 13.4341
angles: 71.06 90.00 90.00
Positions (direct):
P1 0.2426 0.7007 0.0190
P2 0.2274 0.8254 0.1986
O1 0.4670 0.2598 0.2736
O2 0.7275 0.9920 0.3007
O3 0.0340 0.2868 0.0176
O4 0.9660 0.7132 0.9824
O5 0.5340 0.7132 0.4824
Sn1 0.2472 0.2685 0.1475
O6 0.8058 0.4735 0.4029
O7 0.0733 0.7619 0.4283
O8 0.6942 0.4735 0.9029
P3 0.7274 0.1746 0.3014
P4 0.7726 0.1746 0.8014
O9 0.2275 0.0080 0.1993
P5 0.7574 0.2993 0.9810
Sn2 0.2528 0.2685 0.6475
O10 0.0330 0.2598 0.7736
O11 0.9373 0.2846 0.2343
O12 0.1942 0.5265 0.5971
Sn3 0.7472 0.7315 0.3525
O13 0.5330 0.7402 0.7264
O14 0.5733 0.2381 0.0717
O15 0.2227 0.8364 0.5800
O16 0.2773 0.8364 0.0800
O17 0.9267 0.2381 0.5717
O18 0.0627 0.7154 0.7657
O19 0.7725 0.9920 0.8007
Sn4 0.7528 0.7315 0.8525
O20 0.9670 0.7402 0.2264
O21 0.7227 0.1636 0.9200
O22 0.4373 0.7154 0.2657
O23 0.4267 0.7619 0.9283
O24 0.7773 0.1636 0.4200
P6 0.7426 0.2993 0.4810
P7 0.2574 0.7007 0.5190
O25 0.2725 0.0080 0.6993
O26 0.5627 0.2846 0.7343
O27 0.3058 0.5265 0.0971
P8 0.2726 0.8254 0.6986
O28 0.4660 0.2868 0.5176


This record from Materials Project describes crystalline Sn2P2O7 at its relaxed geometry. The functional is r2SCAN.

Output
The energy above the most stable polymorph in this dataset comes out at 0.0000 eV/atom. The space group is No. 2. The crystal system is triclinic.

abc: 5.2875 11.5256 11.6566
angles: 101.65 99.08 98.65
Positions (direct):
O1 0.5851 0.1846 0.5850
O2 0.5622 0.1878 0.2434
O3 0.6611 0.6037 0.1418
O4 0.8904 0.9145 0.8689
O5 0.1555 0.6256 0.6171
O6 0.6530 0.8264 0.2005
Sn1 0.7663 0.6343 0.5312
Sn2 0.1729 0.8478 0.9775
O7 0.4679 0.3930 0.2359
O8 0.1096 0.0855 0.1311
Sn3 0.2673 0.5004 0.1407
O9 0.4149 0.8154 0.4150
Sn4 0.2337 0.3657 0.4688
Sn5 0.6865 0.9457 0.3694
P1 0.6908 0.3269 0.2566
Sn6 0.8271 0.1522 0.0225
Sn7 0.7327 0.4996 0.8593
O10 0.2418 0.5954 0.3205
Sn8 0.3135 0.0543 0.6306
O11 0.0820 0.7529 0.2252
P2 0.7938 0.7304 0.1461
O12 0.7582 0.4046 0.6795
O13 0.8445 0.3744 0.3829
P3 0.2845 0.1161 0.2544
O14 0.4378 0.8122 0.7566
P4 0.1765 0.7204 0.3511
O15 0.0480 0.2709 0.5835
P5 0.8235 0.2796 0.6489
O16 0.8607 0.3191 0.1622
O17 0.9180 0.2471 0.7748
P6 0.2062 0.2696 0.8539
O18 0.1393 0.6809 0.8378
O19 0.5321 0.6070 0.7641
O20 0.3470 0.1736 0.7995
O21 0.1725 0.1928 0.3469
O22 0.8464 0.7456 0.0244
O23 0.9520 0.7291 0.4165
O24 0.3475 0.0020 0.2873
P7 0.7155 0.8839 0.7456
O25 0.1536 0.2544 0.9756
O26 0.6525 0.9980 0.7127
O27 0.8275 0.8072 0.6531
P8 0.3092 0.6731 0.7434
O28 0.3389 0.3963 0.8582


This record from Materials Project describes crystalline SnP2O7 at its relaxed geometry. The functional is r2SCAN.

Output
The energy above the most stable polymorph in this dataset comes out at 0.0000 eV/atom. The space group is No. 2. The crystal system is triclinic.

abc: 5.1280 6.7549 8.3667
angles: 68.99 88.53 88.62
Positions (direct):
O1 0.6982 0.8592 0.0170
O2 0.8227 0.7084 0.5232
O3 0.0347 0.9420 0.7768
O4 0.4368 0.9617 0.2880
O5 0.0950 0.6416 0.2365
Sn1 0.2415 0.2096 0.7310
P1 0.2767 0.4532 0.3103
Sn2 0.7585 0.7904 0.2690
O6 0.2869 0.3420 0.1728
O7 0.5632 0.0383 0.7120
P2 0.7233 0.5468 0.6897
O8 0.9050 0.3584 0.7635
O9 0.4460 0.4811 0.6787
O10 0.1773 0.2916 0.4768
P3 0.7542 0.8865 0.8337
O11 0.7131 0.6580 0.8272
O12 0.5540 0.5189 0.3213
O13 0.3018 0.1408 0.9830
P4 0.2458 0.1135 0.1663
O14 0.9653 0.0580 0.2232


This record from Materials Project describes crystalline SrP2O6 at its relaxed geometry. The functional is r2SCAN.

Output
The value obtained for the electronic total energy is -10.424 eV per atom. The space group is No. 14. The crystal system is monoclinic.

abc: 7.9431 7.1957 17.4118
angles: 89.36 90.00 90.00
Positions (direct):
P1 0.9856 0.8708 0.6934
Sr1 0.1155 0.0180 0.1036
Sr2 0.6155 0.9820 0.3964
Sr3 0.6600 0.4829 0.3258
O1 0.0649 0.9143 0.3120
P2 0.7887 0.7583 0.0898
O2 0.3373 0.0876 0.4638
P3 0.0144 0.1292 0.3066
O3 0.6598 0.7409 0.8860
P4 0.6957 0.3622 0.5397
O4 0.0589 0.5698 0.3079
P5 0.5144 0.8708 0.1934
O5 0.6016 0.7917 0.1184
P6 0.8043 0.3622 0.0397
O6 0.1016 0.2083 0.3816
O7 0.4072 0.2706 0.3446
P7 0.9834 0.2706 0.6424
O8 0.4351 0.9143 0.8120
O9 0.6694 0.1595 0.8176
O10 0.9411 0.4302 0.6921
Sr4 0.8845 0.9820 0.8964
O11 0.5928 0.7294 0.6554
P8 0.3043 0.6378 0.4603
O12 0.1694 0.8405 0.6824
O13 0.1598 0.2591 0.6140
O14 0.1777 0.6892 0.0423
Sr5 0.8400 0.4829 0.8258
P9 0.2887 0.2417 0.4102
P10 0.4834 0.7294 0.8576
O15 0.9351 0.0857 0.6880
Sr6 0.1600 0.5171 0.1742
P11 0.7113 0.7583 0.5898
O16 0.3642 0.7357 0.9308
O17 0.0939 0.1974 0.2346
O18 0.4411 0.5698 0.8079
O19 0.6358 0.2643 0.0692
P12 0.4856 0.1292 0.8066
O20 0.3402 0.2591 0.1140
O21 0.3306 0.8405 0.1824
O22 0.0928 0.2706 0.8446
O23 0.7577 0.5770 0.0412
O24 0.9072 0.7294 0.1554
Sr7 0.3400 0.5171 0.6742
O25 0.2577 0.4230 0.4588
O26 0.3984 0.2083 0.8816
O27 0.8642 0.2643 0.5692
O28 0.8223 0.3108 0.9577
O29 0.8373 0.9124 0.0362
O30 0.6627 0.9124 0.5362
Sr8 0.3845 0.0180 0.6036
O31 0.1358 0.7357 0.4308
O32 0.3223 0.6892 0.5423
O33 0.5589 0.4302 0.1921
O34 0.9462 0.3243 0.0936
O35 0.4462 0.6757 0.4064
O36 0.5538 0.3243 0.5936
O37 0.1627 0.0876 0.9638
O38 0.8402 0.7409 0.3860
P13 0.5166 0.2706 0.1424
O39 0.6777 0.3108 0.4577
O40 0.9061 0.8026 0.7654
O41 0.2423 0.4230 0.9588
O42 0.0538 0.6757 0.9064
O43 0.4061 0.1974 0.7346
O44 0.8984 0.7917 0.6184
P14 0.1957 0.6378 0.9603
O45 0.5939 0.8026 0.2654
O46 0.8306 0.1595 0.3176
P15 0.2113 0.2417 0.9102
O47 0.5649 0.0857 0.1880
O48 0.7423 0.5770 0.5412
P16 0.0166 0.7294 0.3576